# TbH3 | the Materials Project database | r²SCAN | optimized geometry
data_TbH3
_chemical_formula_sum 'Tb4 H12'
_cell_length_a 5.175
_cell_length_b 5.175
_cell_length_c 5.175
_cell_angle_alpha 90.00
_cell_angle_beta 90.00
_cell_angle_gamma 90.00
_space_group_name_H-M_alt 'F m -3 m'
_space_group_IT_number 225
_space_group_name_Hall '-F 4 2 3'
loop_
_atom_site_label
_atom_site_type_symbol
_atom_site_fract_x
_atom_site_fract_y
_atom_site_fract_z
_atom_site_occupancy
Tb1 Tb 0.000 0.000 0.000 1
H1 H 0.000 0.000 0.500 1
H2 H 0.250 0.250 0.250 1
# Uncorrected energy   -11.042 eV/atom
# V   8.66 Å³/atom
# Energy of formation   -644 meV/atom